BaAg2Te2 | the Materials Project | meta-GGA r2SCAN | relaxed; E_form = -4.52 eV per formula unit
1.0
11.001 0.000 0.000
0.000 4.645 0.000
0.000 0.000 11.935
Ba Ag Te
4 8 8
Direct
0.247 0.250 0.192
0.253 0.750 0.692
0.747 0.250 0.308
0.753 0.750 0.808
0.056 0.750 0.417
0.059 0.750 0.952
0.441 0.250 0.452
0.444 0.250 0.917
0.556 0.750 0.083
0.559 0.750 0.548
0.941 0.250 0.048
0.944 0.250 0.583
0.019 0.250 0.813
0.184 0.250 0.478
0.316 0.750 0.978
0.481 0.750 0.313
0.519 0.250 0.687
0.684 0.250 0.022
0.816 0.750 0.522
0.981 0.750 0.187